VASP calculation (PBE) on a relaxed CsReBrCl3 crystal.

Properties
Final energy, Ry/atom: -0.32976
SG: Ama2
Calculated density, g/cm³: 4.3
Energy of formation from the pure elements, eV/atom: -1.3731

Cell: 11.0972 10.2939 10.2939 Å, 90.44 90.00 90.00°
With the nearest neighbours (Å) after each atom.
Positions (direct):
Cs: 0.0000 0.0000 0.0000  8 Cl 3.58-4.01, 4 Br 3.86-3.94
Cs: 0.2500 0.4284 0.7920  6 Cl 3.45-3.86, 2 Br 3.85
Cs: 0.2500 0.4834 0.2912  5 Cl 3.46-3.82
Cs: 0.5000 0.0000 0.0000  8 Cl 3.58-4.01, 4 Br 3.86-3.94
Cs: 0.7500 0.2912 0.4834  5 Cl 3.46-3.82
Cs: 0.7500 0.7920 0.4284  6 Cl 3.45-3.86, 2 Br 3.85
Re: 0.1381 0.0074 0.4448  2 Cl 2.33-2.34, 2 Re 2.48, 2 Br 2.57-2.58
Re: 0.2500 0.9137 0.6299  2 Cl 2.34, 2 Re 2.48, 2 Br 2.58
Re: 0.3619 0.0074 0.4448  2 Cl 2.33-2.34, 2 Re 2.48, 2 Br 2.57-2.58
Re: 0.6381 0.4448 0.0074  2 Cl 2.33-2.34, 2 Re 2.48, 2 Br 2.57-2.58
Re: 0.7500 0.6299 0.9137  2 Cl 2.34, 2 Re 2.48, 2 Br 2.58
Re: 0.8619 0.4448 0.0074  2 Cl 2.33-2.34, 2 Re 2.48, 2 Br 2.57-2.58
Br: 0.0178 0.9121 0.6353  2 Re 2.57-2.58
Br: 0.2500 0.1073 0.2499  2 Re 2.58
Br: 0.4822 0.9121 0.6353  2 Re 2.57-2.58
Br: 0.5178 0.6353 0.9121  2 Re 2.57-2.58
Br: 0.7500 0.2499 0.1073  2 Re 2.58
Br: 0.9822 0.6353 0.9121  2 Re 2.57-2.58
Cl: 0.0701 0.3350 0.0588  1 Re 2.63
Cl: 0.1027 0.2180 0.5238  1 Re 2.34
Cl: 0.1040 0.8186 0.3243  1 Re 2.33
Cl: 0.2500 0.0937 0.7697  1 Re 2.34
Cl: 0.2500 0.6951 0.5677  1 Re 2.34
Cl: 0.2500 0.8032 0.8590  1 Re 2.63
Cl: 0.3960 0.8186 0.3243  1 Re 2.33
Cl: 0.3973 0.2180 0.5238  1 Re 2.34
Cl: 0.4299 0.3350 0.0588  1 Re 2.63
Cl: 0.5701 0.0588 0.3350  1 Re 2.63
Cl: 0.6027 0.5238 0.2180  1 Re 2.34
Cl: 0.6040 0.3243 0.8186  1 Re 2.33
Cl: 0.7500 0.5677 0.6951  1 Re 2.34
Cl: 0.7500 0.7697 0.0937  1 Re 2.34
Cl: 0.7500 0.8590 0.8032  1 Re 2.63
Cl: 0.8960 0.3243 0.8186  1 Re 2.33
Cl: 0.8973 0.5238 0.2180  1 Re 2.34
Cl: 0.9299 0.0588 0.3350  1 Re 2.63